Record 1
Li2CrSi2O6 | GGA+U | optimized geometry Values from VASP.

Geometry as Quantum ESPRESSO input:
```
&SYSTEM
  ibrav = 0, nat = 22, ntyp = 4
/
ATOMIC_SPECIES
Li 6.94 Li.upf
Cr 52.00 Cr.upf
Si 28.09 Si.upf
O 16.00 O.upf
CELL_PARAMETERS angstrom
5.196 0.000 0.000
-0.483 5.175 0.000
-2.357 -2.583 9.755
ATOMIC_POSITIONS angstrom
Li 0.000 0.000 0.000
Li -0.243 2.584 1.705
Li -0.433 0.401 6.583
Li 2.167 0.400 4.876
Cr -0.394 -0.001 3.292
Cr 2.203 0.006 8.167
Si 0.297 2.783 4.905
Si 2.065 3.532 0.030
Si 2.308 0.945 1.678
Si 2.895 2.786 6.550
O 0.444 3.421 0.078
O -0.901 3.426 5.895
O 0.686 0.834 1.629
O 0.112 3.430 3.430
O 0.338 1.159 4.959
O 0.374 0.835 8.311
O 2.573 4.982 0.691
O 2.816 2.395 1.016
O 1.697 3.426 5.557
O 2.973 0.831 3.152
O 2.935 1.162 6.501
O 3.194 -1.737 8.024
```

Computed properties:
density = 2.76 g cm⁻³
formation energy from the elements = -2.77 eV per atom
polymorph energy (0 for the lowest one) = 0.000 eV/atom

Record 2
Li9Cr5Si2O16 | GGA+U | optimized geometry Values from VASP.

Geometry as Quantum ESPRESSO input:
```
&SYSTEM
  ibrav = 0, nat = 32, ntyp = 4
/
ATOMIC_SPECIES
Li 6.94 Li.upf
Cr 52.00 Cr.upf
Si 28.09 Si.upf
O 16.00 O.upf
CELL_PARAMETERS angstrom
5.051 0.000 0.000
0.000 11.549 0.000
-1.674 0.000 4.784
ATOMIC_POSITIONS angstrom
Li 0.000 0.000 0.000
Li -0.837 1.357 2.392
Li -0.837 4.343 2.392
Li -0.837 7.206 2.392
Li -0.837 10.192 2.392
Li 1.688 0.000 2.392
Li 1.688 2.802 2.392
Li 1.688 5.775 2.392
Li 1.688 8.747 2.392
Cr 0.000 2.780 0.000
Cr 0.000 5.775 0.000
Cr 0.000 8.769 0.000
Cr 2.525 4.274 0.000
Cr 2.525 7.275 0.000
Si 2.525 1.351 0.000
Si 2.525 10.198 0.000
O 0.835 4.299 1.093
O 0.835 7.250 1.093
O 0.025 5.775 3.695
O 0.054 2.712 3.738
O 0.054 8.837 3.738
O 1.047 1.448 1.016
O 1.047 10.101 1.016
O 0.166 0.000 3.760
O 3.210 0.000 1.024
O 2.329 1.448 3.769
O 2.329 10.101 3.769
O 3.323 2.712 1.046
O 3.323 8.837 1.046
O 3.352 5.775 1.089
O 2.541 4.299 3.691
O 2.541 7.250 3.691
```

Computed properties:
density = 3.78 g cm⁻³
formation energy from the elements = -2.53 eV per atom

Record 3
Li2CrSi6O15 | GGA+U | optimized geometry Values from VASP.

Geometry as Quantum ESPRESSO input:
```
&SYSTEM
  ibrav = 0, nat = 96, ntyp = 4
/
ATOMIC_SPECIES
Li 6.94 Li.upf
Cr 52.00 Cr.upf
Si 28.09 Si.upf
O 16.00 O.upf
CELL_PARAMETERS angstrom
10.013 0.000 0.000
-5.006 8.671 0.000
0.000 0.000 14.240
ATOMIC_POSITIONS angstrom
Li -2.502 4.334 0.000
Li -2.502 4.334 7.120
Li 0.000 5.781 3.560
Li 5.005 0.000 0.000
Li 5.005 0.000 7.120
Li 2.504 4.337 0.000
Li 2.504 4.337 7.120
Li 5.006 2.890 10.680
Cr 0.000 5.781 7.142
Cr 0.000 5.781 14.217
Cr 5.006 2.890 0.022
Cr 5.006 2.890 7.097
Si -0.535 3.131 1.971
Si -0.535 3.131 5.149
Si -2.561 6.635 9.102
Si -2.561 6.635 12.257
Si -2.027 7.569 1.971
Si -2.027 7.569 5.149
Si 0.541 3.136 9.102
Si 0.541 3.136 12.257
Si 2.979 1.102 9.090
Si 2.979 1.102 12.269
Si 2.445 2.037 1.982
Si 2.445 2.037 5.138
Si 2.020 7.572 9.102
Si 2.020 7.572 12.257
Si 2.562 6.642 1.971
Si 2.562 6.642 5.149
Si 7.026 1.099 1.982
Si 7.026 1.099 5.138
Si 4.471 5.540 9.090
Si 4.471 5.540 12.269
Si 7.569 2.029 9.090
Si 7.569 2.029 12.269
Si 5.548 5.535 1.982
Si 5.548 5.535 5.138
O -0.912 2.472 8.782
O -0.912 2.472 12.577
O -3.326 6.657 1.637
O -3.326 6.657 5.483
O -2.266 6.369 10.680
O -0.553 3.633 3.560
O -1.602 5.703 8.192
O -1.602 5.703 13.167
O -0.868 4.457 1.109
O -0.868 4.457 6.011
O 0.904 2.462 1.637
O 0.904 2.462 5.483
O -2.410 8.226 8.782
O -2.410 8.226 12.577
O 0.623 3.524 10.680
O -1.584 7.334 3.560
O 1.680 2.014 8.756
O 1.680 2.014 12.603
O 2.597 0.446 1.662
O 2.597 0.446 5.457
O 0.868 4.433 8.192
O 0.868 4.433 13.167
O -0.713 7.194 1.109
O -0.713 7.194 6.011
O 2.740 2.302 3.560
O 3.423 1.338 10.680
O 1.581 5.692 1.109
O 1.581 5.692 6.011
O 0.733 7.207 8.192
O 0.733 7.207 13.167
O 3.405 2.969 1.073
O 3.405 2.969 6.047
O 4.293 1.477 8.229
O 4.293 1.477 13.130
O 2.137 6.376 3.560
O 1.643 7.449 10.680
O 4.139 4.215 8.229
O 4.139 4.215 13.130
O 5.740 1.464 1.073
O 5.740 1.464 6.047
O 3.322 6.645 8.782
O 3.322 6.645 12.577
O 2.422 8.223 1.637
O 2.422 8.223 5.483
O 6.649 1.222 3.560
O 4.453 5.039 10.680
O 4.094 6.200 1.662
O 4.094 6.200 5.457
O 7.428 0.448 8.756
O 7.428 0.448 12.603
O 6.587 2.980 8.229
O 6.587 2.980 13.130
O 5.875 4.239 1.073
O 5.875 4.239 6.047
O 7.143 2.295 10.680
O 5.630 5.147 3.560
O 5.911 6.209 8.756
O 5.911 6.209 12.603
O 8.328 2.026 1.662
O 8.328 2.026 5.457
```

Computed properties:
density = 2.55 g cm⁻³
formation energy from the elements = -2.99 eV per atom
polymorph energy (0 for the lowest one) = 0.000 eV/atom

Record 4
Li2CrSi6O15 | GGA+U | optimized geometry Values from VASP.

Geometry as Quantum ESPRESSO input:
```
&SYSTEM
  ibrav = 0, nat = 96, ntyp = 4
/
ATOMIC_SPECIES
Li 6.94 Li.upf
Cr 52.00 Cr.upf
Si 28.09 Si.upf
O 16.00 O.upf
CELL_PARAMETERS angstrom
7.090 -8.466 0.000
7.090 8.466 0.000
0.000 0.000 10.050
ATOMIC_POSITIONS angstrom
Li 3.545 4.009 2.512
Li 3.422 0.000 0.000
Li 3.667 0.000 5.025
Li 3.545 -4.009 7.537
Li 10.634 4.009 2.512
Li 10.512 0.000 5.025
Li 10.757 0.000 0.000
Li 10.634 -4.009 7.537
Cr 3.545 1.509 7.537
Cr 3.545 -1.509 2.512
Cr 10.634 1.509 7.537
Cr 10.634 -1.509 2.512
Si 5.531 6.253 5.127
Si 1.610 1.181 1.993
Si 5.534 5.335 0.456
Si 1.610 -1.181 8.057
Si 5.534 3.131 5.481
Si 8.648 6.253 5.127
Si 5.531 2.212 0.102
Si 8.645 5.335 0.456
Si 5.480 1.181 3.032
Si 8.645 3.131 5.481
Si 5.480 -1.181 7.017
Si 8.648 2.212 0.102
Si 5.531 -2.212 9.948
Si 8.699 1.181 3.032
Si 5.534 -3.131 4.569
Si 8.699 -1.181 7.017
Si 5.534 -5.335 9.594
Si 8.648 -2.212 9.948
Si 5.531 -6.253 4.923
Si 8.645 -3.131 4.569
Si 12.570 1.181 1.993
Si 8.645 -5.335 9.594
Si 12.570 -1.181 8.057
Si 8.648 -6.253 4.923
O 9.588 -5.479 8.288
O 4.591 5.479 1.762
O 2.060 2.198 0.788
O 2.071 1.952 3.370
O 7.090 7.483 8.054
O 2.499 1.362 5.918
O 7.090 6.719 4.991
O 5.396 4.649 4.877
O 4.591 2.986 6.787
O 5.396 3.816 9.902
O 2.394 0.195 8.358
O 7.090 5.661 0.820
O 2.394 -0.195 1.692
O 5.030 2.198 4.237
O 5.018 1.952 1.655
O 4.591 1.362 9.156
O 2.499 -1.362 4.131
O 2.071 -1.952 6.680
O 2.060 -2.198 9.262
O 4.695 0.195 6.716
O 7.090 2.804 5.845
O 4.695 -0.195 3.333
O 8.783 4.649 4.877
O 9.588 5.479 1.762
O 8.783 3.816 9.902
O 7.090 1.747 10.016
O 4.591 -1.362 0.893
O 7.090 0.983 3.029
O 5.018 -1.952 8.395
O 5.030 -2.198 5.813
O 4.591 -2.986 3.263
O 9.588 2.986 6.787
O 9.149 2.198 4.237
O 9.161 1.952 1.655
O 7.090 -0.983 7.020
O 9.588 1.362 9.156
O 7.090 -1.747 0.034
O 5.396 -3.816 0.148
O 4.591 -5.479 8.288
O 5.396 -4.649 5.173
O 9.484 0.195 6.716
O 7.090 -2.804 4.205
O 9.484 -0.195 3.333
O 12.120 2.198 0.788
O 12.108 1.952 3.370
O 11.681 1.362 5.918
O 9.588 -1.362 0.893
O 9.161 -1.952 8.395
O 9.149 -2.198 5.813
O 11.785 0.195 8.358
O 7.090 -5.661 9.229
O 11.785 -0.195 1.692
O 8.783 -3.816 0.148
O 9.588 -2.986 3.263
O 8.783 -4.649 5.173
O 7.090 -6.719 5.059
O 11.681 -1.362 4.131
O 7.090 -7.483 1.995
O 12.108 -1.952 6.680
O 12.120 -2.198 9.262
```

Computed properties:
density = 2.61 g cm⁻³
formation energy from the elements = -2.98 eV per atom
polymorph energy (0 for the lowest one) = 0.011 eV/atom

Record 5
Li10CrSi2O10 | GGA+U | optimized geometry Values from VASP.

Geometry as Quantum ESPRESSO input:
```
&SYSTEM
  ibrav = 0, nat = 46, ntyp = 4
/
ATOMIC_SPECIES
Li 6.94 Li.upf
Cr 52.00 Cr.upf
Si 28.09 Si.upf
O 16.00 O.upf
CELL_PARAMETERS angstrom
5.153 0.000 0.000
0.016 6.087 0.000
2.498 3.017 14.791
ATOMIC_POSITIONS angstrom
Li 0.000 0.000 0.000
Li 2.509 6.150 14.782
Li 1.600 3.038 3.262
Li 1.617 6.182 3.274
Li 1.606 1.563 1.043
Li 3.336 4.582 9.268
Li 4.055 2.870 12.929
Li 4.074 6.334 12.918
Li 2.855 1.585 5.148
Li 3.792 3.330 7.075
Li 3.804 5.900 7.110
Li 3.405 4.573 3.837
Li 5.864 4.592 14.222
Li 5.491 3.306 11.025
Li 5.502 5.864 10.998
Li 6.421 7.650 12.927
Li 5.193 6.351 5.134
Li 5.209 2.900 5.147
Li 5.920 4.585 8.774
Li 5.162 4.616 2.220
Cr 3.838 7.602 10.061
Cr 5.585 7.651 7.889
Si 2.521 4.594 11.986
Si 1.604 4.628 6.069
Si 2.566 4.612 0.722
Si 4.200 1.568 2.545
O 1.785 4.578 10.506
O 2.334 4.615 7.550
O 2.037 5.981 5.237
O 2.056 3.308 5.194
O 2.052 4.610 2.297
O 4.482 6.251 14.760
O 4.486 9.009 14.761
O 2.565 1.570 2.693
O 4.176 4.596 11.844
O 4.837 7.660 11.780
O 4.617 6.099 9.005
O 4.634 2.982 8.985
O 4.439 1.595 6.309
O 5.103 4.621 6.203
O 4.201 4.610 0.567
O 4.781 2.941 3.307
O 4.795 6.276 3.300
O 4.718 1.572 0.971
O 7.223 3.274 12.856
O 7.228 5.935 12.827
```

Computed properties:
density = 2.42 g cm⁻³
formation energy from the elements = -2.46 eV per atom

Record 6
Li3CrSi6O15 | GGA+U | optimized geometry Values from VASP.

Geometry as Quantum ESPRESSO input:
```
&SYSTEM
  ibrav = 0, nat = 100, ntyp = 4
/
ATOMIC_SPECIES
Li 6.94 Li.upf
Cr 52.00 Cr.upf
Si 28.09 Si.upf
O 16.00 O.upf
CELL_PARAMETERS angstrom
10.093 0.000 0.000
-5.046 8.740 0.000
0.000 0.000 14.247
ATOMIC_POSITIONS angstrom
Li 0.000 0.000 3.562
Li 0.000 0.000 10.685
Li -2.523 4.370 3.562
Li -2.523 4.370 10.685
Li 0.000 5.827 0.000
Li 0.000 5.827 7.124
Li 5.046 0.000 3.562
Li 5.046 0.000 10.685
Li 2.523 4.370 3.562
Li 2.523 4.370 10.685
Li 5.046 2.913 0.000
Li 5.046 2.913 7.124
Cr 0.000 5.827 3.562
Cr 0.000 5.827 10.685
Cr 5.046 2.913 3.562
Cr 5.046 2.913 10.685
Si -0.573 3.134 1.598
Si -0.573 3.134 12.649
Si -2.619 6.678 5.526
Si -2.619 6.678 8.722
Si 0.573 3.134 5.526
Si 0.573 3.134 8.722
Si -2.046 7.670 1.598
Si -2.046 7.670 12.649
Si 3.000 1.071 5.526
Si 3.000 1.071 8.722
Si 2.428 2.063 1.598
Si 2.428 2.063 12.649
Si 2.619 6.678 1.598
Si 2.619 6.678 12.649
Si 2.046 7.670 5.526
Si 2.046 7.670 8.722
Si 7.092 1.071 1.598
Si 7.092 1.071 12.649
Si 4.474 5.607 5.526
Si 4.474 5.607 8.722
Si 7.665 2.063 5.526
Si 7.665 2.063 8.722
Si 5.619 5.607 1.598
Si 5.619 5.607 12.649
O -0.858 2.406 5.197
O -0.858 2.406 9.051
O -3.392 6.794 1.927
O -3.392 6.794 12.320
O -0.575 3.576 0.000
O -2.237 6.455 7.124
O -0.910 4.449 2.430
O -0.910 4.449 11.818
O -1.648 5.728 4.694
O -1.648 5.728 9.553
O 0.858 2.406 1.927
O 0.858 2.406 12.320
O -2.534 8.281 5.197
O -2.534 8.281 9.051
O 0.575 3.576 7.124
O -1.662 7.450 0.000
O 2.513 0.460 1.927
O 2.513 0.460 12.320
O 1.655 1.946 5.197
O 1.655 1.946 9.051
O 0.910 4.449 4.694
O 0.910 4.449 9.553
O -0.738 7.304 2.430
O -0.738 7.304 11.818
O 3.384 1.290 7.124
O 2.810 2.286 0.000
O 1.648 5.728 2.430
O 1.648 5.728 11.818
O 0.738 7.304 4.694
O 0.738 7.304 9.553
O 4.308 1.437 4.694
O 4.308 1.437 9.553
O 3.398 3.013 2.430
O 3.398 3.013 11.818
O 2.237 6.455 0.000
O 1.662 7.450 7.124
O 5.785 1.437 2.430
O 5.785 1.437 11.818
O 4.136 4.291 4.694
O 4.136 4.291 9.553
O 3.392 6.794 5.197
O 3.392 6.794 9.051
O 2.534 8.281 1.927
O 2.534 8.281 12.320
O 6.708 1.290 0.000
O 4.472 5.164 7.124
O 7.580 0.460 5.197
O 7.580 0.460 9.051
O 4.188 6.334 1.927
O 4.188 6.334 12.320
O 6.695 3.013 4.694
O 6.695 3.013 9.553
O 5.956 4.291 2.430
O 5.956 4.291 11.818
O 7.283 2.286 7.124
O 5.621 5.164 0.000
O 8.438 1.946 1.927
O 8.438 1.946 12.320
O 5.904 6.334 5.197
O 5.904 6.334 9.051
```

Computed properties:
density = 2.54 g cm⁻³
formation energy from the elements = -3.00 eV per atom
polymorph energy (0 for the lowest one) = 0.004 eV/atom